(1)
# Tm6Ti4Al43 PBE-GGA relaxed
# - magnetization (Bohr magnetons per cell) = 0.6
# - DFT formation energy (eV per atom) = -0.330
# - calculated total energy (eV/cell) = -473.966
data_Tm6Ti4Al43
_cell_length_a 11.0457
_cell_length_b 11.0457
_cell_length_c 17.6911
_cell_angle_alpha 90.00
_cell_angle_beta 90.00
_cell_angle_gamma 120.00
_symmetry_space_group_name_H-M 'P 63/m c m'
_symmetry_Int_Tables_number 193
_symmetry_space_group_name_Hall '-P 6c 2'
loop_
_atom_site_label
_atom_site_type_symbol
_atom_site_fract_x
_atom_site_fract_y
_atom_site_fract_z
_atom_site_occupancy
Tm1 Tm 0.0000 0.4687 0.0966 1
Ti1 Ti 0.0000 0.0000 0.0000 1
Ti2 Ti 0.0000 0.2724 0.2500 1
Al1 Al 0.0000 0.1467 0.7500 1
Al2 Al 0.0000 0.1571 0.1159 1
Al3 Al 0.0000 0.2546 0.5291 1
Al4 Al 0.1498 0.5526 0.2500 1
Al5 Al 0.1583 0.3937 0.6642 1
Al6 Al 0.2474 0.4949 0.0000 1
Al7 Al 0.3333 0.6667 0.1259 1

(2)
# Ti2AlV PBE-GGA relaxed
# - magnetization (Bohr magnetons per cell) = 7.7
# - DFT formation energy (eV per atom) = -0.106
# - calculated total energy (eV/cell) = -116.170
data_Ti2AlV
_cell_length_a 6.3370
_cell_length_b 6.3370
_cell_length_c 6.3370
_cell_angle_alpha 90.00
_cell_angle_beta 90.00
_cell_angle_gamma 90.00
_symmetry_space_group_name_H-M 'F -4 3 m'
_symmetry_Int_Tables_number 216
_symmetry_space_group_name_Hall 'F -4 2 3'
loop_
_atom_site_label
_atom_site_type_symbol
_atom_site_fract_x
_atom_site_fract_y
_atom_site_fract_z
_atom_site_occupancy
Ti1 Ti 0.0000 0.0000 0.0000 1
Ti2 Ti 0.2500 0.2500 0.2500 1
Al1 Al 0.0000 0.0000 0.5000 1
V1 V 0.2500 0.2500 0.7500 1

(3)
# Y6Ti4Al43 PBE-GGA relaxed
# - magnetization (Bohr magnetons per cell) = 0.4
# - DFT formation energy (eV per atom) = -0.344
# - calculated total energy (eV/cell) = -499.346
data_Y6Ti4Al43
_cell_length_a 11.1080
_cell_length_b 11.1080
_cell_length_c 17.8106
_cell_angle_alpha 90.00
_cell_angle_beta 90.00
_cell_angle_gamma 120.00
_symmetry_space_group_name_H-M 'P 63/m c m'
_symmetry_Int_Tables_number 193
_symmetry_space_group_name_Hall '-P 6c 2'
loop_
_atom_site_label
_atom_site_type_symbol
_atom_site_fract_x
_atom_site_fract_y
_atom_site_fract_z
_atom_site_occupancy
Y1 Y 0.0000 0.4694 0.0965 1
Ti1 Ti 0.0000 0.0000 0.0000 1
Ti2 Ti 0.0000 0.2720 0.2500 1
Al1 Al 0.0000 0.1464 0.7500 1
Al2 Al 0.0000 0.1572 0.1159 1
Al3 Al 0.0000 0.2538 0.5292 1
Al4 Al 0.1500 0.5525 0.2500 1
Al5 Al 0.1582 0.3932 0.6648 1
Al6 Al 0.2474 0.4948 0.0000 1
Al7 Al 0.3333 0.6667 0.1262 1

(4)
# TiAl2Zn PBE-GGA relaxed
# - DFT formation energy (eV per atom) = -0.388
# - calculated total energy (eV/cell) = -18.198
data_TiAl2Zn
_cell_length_a 3.9737
_cell_length_b 3.9737
_cell_length_c 3.8877
_cell_angle_alpha 90.00
_cell_angle_beta 90.00
_cell_angle_gamma 90.00
_symmetry_space_group_name_H-M 'P 4/m m m'
_symmetry_Int_Tables_number 123
_symmetry_space_group_name_Hall '-P 4 2'
loop_
_atom_site_label
_atom_site_type_symbol
_atom_site_fract_x
_atom_site_fract_y
_atom_site_fract_z
_atom_site_occupancy
Ti1 Ti 0.0000 0.0000 0.0000 1
Al1 Al 0.0000 0.5000 0.5000 1
Zn1 Zn 0.5000 0.5000 0.0000 1

(5)
# Ti4Al11Zn PBE-GGA relaxed
# - magnetization (Bohr magnetons per cell) = 0.0
# - DFT formation energy (eV per atom) = -0.382
# - calculated total energy (eV/cell) = -80.152
data_Ti4Al11Zn
_cell_length_a 3.9029
_cell_length_b 3.9029
_cell_length_c 16.6138
_cell_angle_alpha 90.00
_cell_angle_beta 90.00
_cell_angle_gamma 90.00
_symmetry_space_group_name_H-M 'P 4 m m'
_symmetry_Int_Tables_number 99
loop_
_symmetry_equiv_pos_as_xyz
'x,y,z'
'-y,x,z'
'-x,-y,z'
'y,-x,z'
'-x,y,z'
'y,x,z'
'x,-y,z'
'-y,-x,z'
loop_
_atom_site_label
_atom_site_type_symbol
_atom_site_fract_x
_atom_site_fract_y
_atom_site_fract_z
_atom_site_occupancy
Ti1 Ti 0.0000 0.0000 0.0000 1
Ti2 Ti 0.0000 0.0000 0.2359 1
Ti3 Ti 0.5000 0.5000 0.4994 1
Ti4 Ti 0.5000 0.5000 0.7360 1
Al1 Al 0.0000 0.0000 0.4930 1
Al2 Al 0.0000 0.5000 0.1176 1
Al3 Al 0.0000 0.5000 0.3673 1
Al4 Al 0.0000 0.5000 0.6193 1
Al5 Al 0.0000 0.5000 0.8651 1
Al6 Al 0.5000 0.5000 0.2421 1
Al7 Al 0.5000 0.5000 0.9903 1
Zn1 Zn 0.0000 0.0000 0.7405 1

(6)
# TmAl PBE-GGA relaxed
# - DFT formation energy (eV per atom) = -0.408
# - calculated total energy (eV/cell) = -72.299
data_TmAl
_cell_length_a 5.7945
_cell_length_b 11.2877
_cell_length_c 5.5548
_cell_angle_alpha 90.00
_cell_angle_beta 90.00
_cell_angle_gamma 90.00
_symmetry_space_group_name_H-M 'P b c m'
_symmetry_Int_Tables_number 57
loop_
_symmetry_equiv_pos_as_xyz
'x,y,z'
'-x,-y,-z'
'-x,-y,z+1/2'
'x,y,-z+1/2'
'x,-y+1/2,-z'
'-x,y+1/2,z'
'-x,y+1/2,-z+1/2'
'x,-y+1/2,z+1/2'
loop_
_atom_site_label
_atom_site_type_symbol
_atom_site_fract_x
_atom_site_fract_y
_atom_site_fract_z
_atom_site_occupancy
Tm1 Tm 0.1025 0.1688 0.2500 1
Tm2 Tm 0.3393 0.0176 0.7500 1
Al1 Al 0.1589 0.5969 0.7500 1
Al2 Al 0.4311 0.7500 0.0000 1

(7)
# Tm6Al43V4 PBE-GGA relaxed
# - magnetization (Bohr magnetons per cell) = 0.7
# - DFT formation energy (eV per atom) = -0.304
# - calculated total energy (eV/cell) = -480.714
data_Tm6Al43V4
_cell_length_a 10.9677
_cell_length_b 10.9677
_cell_length_c 17.4925
_cell_angle_alpha 90.00
_cell_angle_beta 90.00
_cell_angle_gamma 120.00
_symmetry_space_group_name_H-M 'P 63/m c m'
_symmetry_Int_Tables_number 193
_symmetry_space_group_name_Hall '-P 6c 2'
loop_
_atom_site_label
_atom_site_type_symbol
_atom_site_fract_x
_atom_site_fract_y
_atom_site_fract_z
_atom_site_occupancy
Tm1 Tm 0.0000 0.4691 0.0961 1
Al1 Al 0.0000 0.1456 0.7500 1
Al2 Al 0.0000 0.1560 0.1155 1
Al3 Al 0.0000 0.2535 0.5300 1
Al4 Al 0.1463 0.5482 0.2500 1
Al5 Al 0.1577 0.3920 0.6651 1
Al6 Al 0.2469 0.4938 0.0000 1
Al7 Al 0.3333 0.6667 0.1272 1
V1 V 0.0000 0.0000 0.0000 1
V2 V 0.0000 0.2704 0.2500 1

(8)
# TmAlZn PBE-GGA relaxed
# - DFT formation energy (eV per atom) = -0.444
# - calculated total energy (eV/cell) = -21.628
data_TmAlZn
_cell_length_a 4.4875
_cell_length_b 4.4875
_cell_length_c 6.8793
_cell_angle_alpha 90.00
_cell_angle_beta 90.00
_cell_angle_gamma 120.00
_symmetry_space_group_name_H-M 'P 63/m m c'
_symmetry_Int_Tables_number 194
_symmetry_space_group_name_Hall '-P 6c 2c'
loop_
_atom_site_label
_atom_site_type_symbol
_atom_site_fract_x
_atom_site_fract_y
_atom_site_fract_z
_atom_site_occupancy
Tm1 Tm 0.0000 0.0000 0.0000 1
Al1 Al 0.3333 0.6667 0.2500 1
Zn1 Zn 0.3333 0.6667 0.7500 1